No. 1
# Y2Co2O5, optimized geometry, DFT GGA+U
# calculated volume: 96 Å³ per cell
# space group: No. 123
data_Y2Co2O5
_chemical_formula_sum 'Y2 Co2 O5'
_symmetry_space_group_name_H-M 'P 1'
_symmetry_Int_Tables_number 1
_cell_length_a 3.7705
_cell_length_b 3.7705
_cell_length_c 6.7705
_cell_angle_alpha 90.00
_cell_angle_beta 90.00
_cell_angle_gamma 90.00
loop_
_symmetry_equiv_pos_as_xyz
'x,y,z'
loop_
_atom_site_label
_atom_site_fract_x
_atom_site_fract_y
_atom_site_fract_z
Y1 0.0000 0.0000 0.0000
Y2 0.0000 0.0000 0.5000
Co1 0.5000 0.5000 0.2029
Co2 0.5000 0.5000 0.7971
O1 0.0000 0.5000 0.2245
O2 0.0000 0.5000 0.7755
O3 0.5000 0.0000 0.2245
O4 0.5000 0.0000 0.7755
O5 0.5000 0.5000 0.5000

=====

No. 2
# MoO2, optimized geometry, DFT GGA+U
# calculated volume: 42 Å³ per cell
# space group: No. 12
data_MoO2
_chemical_formula_sum 'Mo1 O2'
_symmetry_space_group_name_H-M 'P 1'
_symmetry_Int_Tables_number 1
_cell_length_a 3.2473
_cell_length_b 3.2473
_cell_length_c 5.0722
_cell_angle_alpha 109.84
_cell_angle_beta 109.84
_cell_angle_gamma 57.52
loop_
_symmetry_equiv_pos_as_xyz
'x,y,z'
loop_
_atom_site_label
_atom_site_fract_x
_atom_site_fract_y
_atom_site_fract_z
Mo1 0.0000 0.0000 0.0000
O1 0.2646 0.2646 0.7902
O2 0.7354 0.7354 0.2098

=====

No. 3
# Li3FeNi4O8, optimized geometry, DFT GGA+U
# calculated volume: 144 Å³ per cell
# space group: No. 12
data_Li3FeNi4O8
_chemical_formula_sum 'Li3 Fe1 Ni4 O8'
_symmetry_space_group_name_H-M 'P 1'
_symmetry_Int_Tables_number 1
_cell_length_a 5.8747
_cell_length_b 5.8747
_cell_length_c 5.8696
_cell_angle_alpha 119.41
_cell_angle_beta 119.41
_cell_angle_gamma 59.78
loop_
_symmetry_equiv_pos_as_xyz
'x,y,z'
loop_
_atom_site_label
_atom_site_fract_x
_atom_site_fract_y
_atom_site_fract_z
Li1 0.0000 0.0000 0.0000
Li2 0.0000 0.5000 0.0000
Li3 0.5000 0.0000 0.0000
Fe1 0.5000 0.5000 0.5000
Ni1 0.0000 0.0000 0.5000
Ni2 0.0000 0.5000 0.5000
Ni3 0.5000 0.0000 0.5000
Ni4 0.5000 0.5000 0.0000
O1 0.2490 0.2490 0.7245
O2 0.2557 0.7432 0.2551
O3 0.2568 0.7443 0.7449
O4 0.2593 0.2593 0.2793
O5 0.7407 0.7407 0.7207
O6 0.7432 0.2557 0.2551
O7 0.7443 0.2568 0.7449
O8 0.7510 0.7510 0.2755

=====

Quick rundown of DFT total energy, same order as above: -7.361; -7.200; -5.213 eV per atom
Quick rundown of E (MP2020), same order as above: -8.1069; -8.7255; -6.3330 eV per atom